Record 1
{"formula": "Th2Te3MoO13", "functional": "GGA+U", "state": "relaxed", "lattice_angstrom": [[-5.624, 4.446, 0.558], [-2.773, -2.133, -10.962], [-8.209, -10.892, 4.047]], "species": ["Th", "Th", "Th", "Th", "Th", "Th", "Th", "Th", "Te", "Te", "Te", "Te", "Te", "Te", "Te", "Te", "Te", "Te", "Te", "Te", "Mo", "Mo", "Mo", "Mo", "O", "O", "O", "O", "O", "O", "O", "O", "O", "O", "O", "O", "O", "O", "O", "O", "O", "O", "O", "O", "O", "O", "O", "O", "O", "O", "O", "O", "O", "O", "O", "O", "O", "O", "O", "O", "O", "O", "O", "O", "O", "O", "O", "O", "O", "O", "O", "O", "O", "O", "O", "O"], "fractional_positions": [[0.608, 0.747, 0.247], [0.108, 0.253, 0.253], [0.392, 0.253, 0.753], [0.892, 0.747, 0.747], [0.244, 0.081, 0.003], [0.744, 0.919, 0.497], [0.756, 0.919, 0.997], [0.256, 0.081, 0.503], [0.743, 0.232, 0.979], [0.243, 0.768, 0.521], [0.257, 0.768, 0.021], [0.757, 0.232, 0.479], [0.685, 0.056, 0.246], [0.185, 0.944, 0.254], [0.315, 0.944, 0.754], [0.815, 0.056, 0.746], [0.278, 0.387, 0.998], [0.778, 0.613, 0.502], [0.722, 0.613, 0.002], [0.222, 0.387, 0.498], [0.630, 0.418, 0.239], [0.130, 0.582, 0.261], [0.370, 0.582, 0.761], [0.870, 0.418, 0.739], [0.739, 0.738, 0.090], [0.239, 0.262, 0.410], [0.261, 0.262, 0.910], [0.761, 0.738, 0.590], [0.424, 0.887, 0.976], [0.924, 0.113, 0.524], [0.576, 0.113, 0.024], [0.076, 0.887, 0.476], [0.467, 0.632, 0.975], [0.967, 0.368, 0.525], [0.533, 0.368, 0.025], [0.033, 0.632, 0.475], [0.331, 0.774, 0.147], [0.831, 0.226, 0.353], [0.669, 0.226, 0.853], [0.169, 0.774, 0.647], [0.182, 0.271, 0.086], [0.682, 0.729, 0.414], [0.818, 0.729, 0.914], [0.318, 0.271, 0.586], [0.663, 0.355, 0.689], [0.163, 0.645, 0.811], [0.337, 0.645, 0.311], [0.837, 0.355, 0.189], [0.215, 0.056, 0.667], [0.715, 0.944, 0.833], [0.785, 0.944, 0.333], [0.285, 0.056, 0.167], [0.925, 0.099, 0.964], [0.425, 0.901, 0.536], [0.075, 0.901, 0.036], [0.575, 0.099, 0.464], [0.067, 0.321, 0.737], [0.567, 0.679, 0.763], [0.933, 0.679, 0.263], [0.433, 0.321, 0.237], [0.665, 0.930, 0.158], [0.165, 0.070, 0.342], [0.335, 0.070, 0.842], [0.835, 0.930, 0.658], [0.911, 0.105, 0.188], [0.411, 0.895, 0.312], [0.089, 0.895, 0.812], [0.589, 0.105, 0.688], [0.911, 0.554, 0.675], [0.411, 0.446, 0.825], [0.089, 0.446, 0.325], [0.589, 0.554, 0.175], [0.665, 0.464, 0.355], [0.165, 0.536, 0.145], [0.335, 0.536, 0.645], [0.835, 0.464, 0.855]], "crystal_system": "monoclinic", "magnetic_moment_mub_per_atom": 0.000}

=====

Record 2
{"formula": "FeO2", "functional": "GGA+U", "state": "relaxed", "lattice_angstrom": [[4.997, -2.976, 0.000], [4.997, 2.976, 0.000], [3.225, 0.000, 4.841]], "species": ["Fe", "Fe", "Fe", "Fe", "O", "O", "O", "O", "O", "O", "O", "O"], "fractional_positions": [[0.760, 0.760, 0.760], [0.885, 0.369, 0.369], [0.369, 0.369, 0.885], [0.369, 0.885, 0.369], [0.629, 0.155, 0.629], [0.629, 0.629, 0.155], [0.155, 0.629, 0.629], [0.623, 0.623, 0.623], [0.127, 0.127, 0.127], [0.574, 0.128, 0.128], [0.128, 0.128, 0.574], [0.128, 0.574, 0.128]], "crystal_system": "trigonal", "magnetic_moment_mub_per_atom": 1.333}

=====

Record 3
{"formula": "Li3V3B2O10", "functional": "GGA+U", "state": "relaxed", "lattice_angstrom": [[3.065, 0.000, 0.000], [0.000, 9.118, 0.000], [0.000, 0.000, 12.390]], "species": ["Li", "Li", "Li", "Li", "Li", "Li", "V", "V", "V", "V", "V", "V", "B", "B", "B", "B", "O", "O", "O", "O", "O", "O", "O", "O", "O", "O", "O", "O", "O", "O", "O", "O", "O", "O", "O", "O"], "fractional_positions": [[0.500, 0.735, 0.000], [0.000, 0.743, 0.498], [0.500, 0.265, 0.500], [0.000, 0.257, 0.998], [0.000, 0.484, 0.395], [0.000, 0.516, 0.895], [0.500, 0.740, 0.291], [0.000, 0.987, 0.111], [0.000, 0.013, 0.611], [0.500, 0.260, 0.791], [0.500, 0.260, 0.219], [0.500, 0.740, 0.719], [0.000, 0.973, 0.861], [0.000, 0.027, 0.361], [0.000, 0.467, 0.636], [0.000, 0.533, 0.136], [0.500, 0.858, 0.158], [0.500, 0.867, 0.585], [0.000, 0.874, 0.348], [0.000, 0.891, 0.762], [0.000, 0.905, 0.957], [0.000, 0.095, 0.457], [0.000, 0.109, 0.262], [0.000, 0.126, 0.848], [0.500, 0.133, 0.085], [0.500, 0.142, 0.658], [0.500, 0.343, 0.341], [0.500, 0.352, 0.914], [0.000, 0.375, 0.150], [0.000, 0.386, 0.734], [0.000, 0.405, 0.540], [0.000, 0.595, 0.040], [0.000, 0.614, 0.234], [0.000, 0.625, 0.650], [0.500, 0.648, 0.414], [0.500, 0.657, 0.841]], "crystal_system": "orthorhombic", "relative_energy_kcal_per_mol_atoms": 0.33, "magnetic_moment_mub_per_atom": 0.222}

=====

Record 4
{"formula": "Li3MnB2O6", "functional": "GGA+U", "state": "relaxed", "lattice_angstrom": [[6.160, 0.000, 0.000], [0.000, 9.263, 0.000], [0.000, 3.851, 8.443]], "species": ["Li", "Li", "Li", "Li", "Li", "Li", "Li", "Li", "Li", "Li", "Li", "Li", "Mn", "Mn", "Mn", "Mn", "B", "B", "B", "B", "B", "B", "B", "B", "O", "O", "O", "O", "O", "O", "O", "O", "O", "O", "O", "O", "O", "O", "O", "O", "O", "O", "O", "O", "O", "O", "O", "O"], "fractional_positions": [[0.262, 0.388, 0.987], [0.935, 0.289, 0.185], [0.762, 0.612, 0.513], [0.725, 0.121, 0.080], [0.565, 0.289, 0.685], [0.225, 0.879, 0.420], [0.775, 0.121, 0.580], [0.435, 0.711, 0.315], [0.275, 0.879, 0.920], [0.238, 0.388, 0.487], [0.065, 0.711, 0.815], [0.738, 0.612, 0.013], [0.467, 0.227, 0.290], [0.033, 0.227, 0.790], [0.967, 0.773, 0.210], [0.533, 0.773, 0.710], [0.353, 0.553, 0.681], [0.853, 0.447, 0.819], [0.801, 0.945, 0.414], [0.301, 0.055, 0.086], [0.699, 0.945, 0.914], [0.199, 0.055, 0.586], [0.147, 0.553, 0.181], [0.647, 0.447, 0.319], [0.808, 0.588, 0.820], [0.330, 0.587, 0.814], [0.446, 0.685, 0.553], [0.946, 0.315, 0.947], [0.830, 0.413, 0.686], [0.726, 0.925, 0.564], [0.405, 0.182, 0.101], [0.308, 0.412, 0.680], [0.781, 0.093, 0.295], [0.281, 0.907, 0.205], [0.905, 0.818, 0.399], [0.226, 0.075, 0.936], [0.774, 0.925, 0.064], [0.095, 0.182, 0.601], [0.719, 0.093, 0.795], [0.219, 0.907, 0.705], [0.692, 0.588, 0.320], [0.595, 0.818, 0.899], [0.274, 0.075, 0.436], [0.170, 0.587, 0.314], [0.054, 0.685, 0.053], [0.554, 0.315, 0.447], [0.670, 0.413, 0.186], [0.192, 0.412, 0.180]], "crystal_system": "monoclinic", "relative_energy_kcal_per_mol_atoms": 0.39, "magnetic_moment_mub_per_atom": 0.333}

=====

Record 5
{"formula": "MnH6O3F3", "functional": "GGA+U", "state": "relaxed", "lattice_angstrom": [[9.600, 0.000, 0.000], [0.000, 6.529, 0.000], [0.000, 1.667, 8.419]], "species": ["Mn", "Mn", "Mn", "Mn", "H", "H", "H", "H", "H", "H", "H", "H", "H", "H", "H", "H", "H", "H", "H", "H", "H", "H", "H", "H", "H", "H", "H", "H", "O", "O", "O", "O", "O", "O", "O", "O", "O", "O", "O", "O", "F", "F", "F", "F", "F", "F", "F", "F", "F", "F", "F", "F"], "fractional_positions": [[0.500, 0.000, 0.000], [0.000, 0.000, 0.500], [0.500, 0.500, 0.500], [0.000, 0.500, 0.000], [0.253, 0.766, 0.043], [0.753, 0.234, 0.457], [0.747, 0.234, 0.957], [0.247, 0.766, 0.543], [0.318, 0.764, 0.215], [0.818, 0.236, 0.285], [0.682, 0.236, 0.785], [0.182, 0.764, 0.715], [0.400, 0.128, 0.640], [0.900, 0.872, 0.860], [0.600, 0.872, 0.360], [0.100, 0.128, 0.140], [0.277, 0.246, 0.526], [0.777, 0.754, 0.974], [0.723, 0.754, 0.474], [0.223, 0.246, 0.026], [0.466, 0.705, 0.758], [0.966, 0.295, 0.742], [0.534, 0.295, 0.242], [0.034, 0.705, 0.258], [0.436, 0.460, 0.825], [0.936, 0.540, 0.675], [0.564, 0.540, 0.175], [0.064, 0.460, 0.325], [0.313, 0.844, 0.105], [0.813, 0.156, 0.395], [0.687, 0.156, 0.895], [0.187, 0.844, 0.605], [0.379, 0.240, 0.546], [0.879, 0.760, 0.954], [0.621, 0.760, 0.454], [0.121, 0.240, 0.046], [0.451, 0.568, 0.729], [0.951, 0.432, 0.771], [0.549, 0.432, 0.271], [0.049, 0.568, 0.229], [0.451, 0.958, 0.794], [0.951, 0.042, 0.706], [0.549, 0.042, 0.206], [0.049, 0.958, 0.294], [0.603, 0.744, 0.033], [0.103, 0.256, 0.467], [0.397, 0.256, 0.967], [0.897, 0.744, 0.533], [0.348, 0.659, 0.413], [0.848, 0.341, 0.087], [0.652, 0.341, 0.587], [0.152, 0.659, 0.913]], "crystal_system": "monoclinic", "magnetic_moment_mub_per_atom": 0.308}

=====

Record 6
{"formula": "Li2Fe2B2O7", "functional": "GGA+U", "state": "relaxed", "lattice_angstrom": [[-8.064, -6.429, 6.381], [3.198, 0.168, 4.210], [-0.305, 6.851, 6.516]], "species": ["Li", "Li", "Li", "Li", "Li", "Li", "Li", "Li", "Fe", "Fe", "Fe", "Fe", "Fe", "Fe", "Fe", "Fe", "B", "B", "B", "B", "B", "B", "B", "B", "O", "O", "O", "O", "O", "O", "O", "O", "O", "O", "O", "O", "O", "O", "O", "O", "O", "O", "O", "O", "O", "O", "O", "O", "O", "O", "O", "O"], "fractional_positions": [[0.341, 0.729, 0.126], [0.745, 0.014, 0.182], [0.245, 0.986, 0.318], [0.841, 0.271, 0.374], [0.159, 0.729, 0.626], [0.755, 0.014, 0.682], [0.255, 0.986, 0.818], [0.659, 0.271, 0.874], [0.095, 0.552, 0.106], [0.488, 0.186, 0.197], [0.988, 0.814, 0.303], [0.595, 0.448, 0.394], [0.405, 0.552, 0.606], [0.012, 0.186, 0.697], [0.512, 0.814, 0.803], [0.905, 0.448, 0.894], [0.881, 0.780, 0.029], [0.678, 0.626, 0.042], [0.178, 0.374, 0.458], [0.381, 0.220, 0.471], [0.619, 0.780, 0.529], [0.822, 0.626, 0.542], [0.322, 0.374, 0.958], [0.119, 0.220, 0.971], [0.799, 0.567, 0.031], [0.165, 0.939, 0.010], [0.033, 0.197, 0.097], [0.618, 0.356, 0.063], [0.358, 0.098, 0.124], [0.663, 0.672, 0.180], [0.945, 0.608, 0.195], [0.445, 0.392, 0.305], [0.163, 0.328, 0.320], [0.858, 0.902, 0.376], [0.118, 0.644, 0.437], [0.533, 0.803, 0.403], [0.665, 0.061, 0.490], [0.299, 0.433, 0.469], [0.701, 0.567, 0.531], [0.335, 0.939, 0.510], [0.467, 0.197, 0.597], [0.882, 0.356, 0.563], [0.142, 0.098, 0.624], [0.837, 0.672, 0.680], [0.555, 0.608, 0.695], [0.055, 0.392, 0.805], [0.337, 0.328, 0.820], [0.642, 0.902, 0.876], [0.382, 0.644, 0.937], [0.967, 0.803, 0.903], [0.835, 0.061, 0.990], [0.201, 0.433, 0.969]], "crystal_system": "monoclinic", "magnetic_moment_mub_per_atom": 0.769}

=====

Record 7
{"formula": "SrCa3Mn4O11", "functional": "GGA+U", "state": "relaxed", "lattice_angstrom": [[3.819, 1.373, 3.628], [-7.885, 2.162, 7.278], [0.608, -14.832, 4.924]], "species": ["Sr", "Sr", "Sr", "Sr", "Ca", "Ca", "Ca", "Ca", "Ca", "Ca", "Ca", "Ca", "Ca", "Ca", "Ca", "Ca", "Mn", "Mn", "Mn", "Mn", "Mn", "Mn", "Mn", "Mn", "Mn", "Mn", "Mn", "Mn", "Mn", "Mn", "Mn", "Mn", "O", "O", "O", "O", "O", "O", "O", "O", "O", "O", "O", "O", "O", "O", "O", "O", "O", "O", "O", "O", "O", "O", "O", "O", "O", "O", "O", "O", "O", "O", "O", "O", "O", "O", "O", "O", "O", "O", "O", "O", "O", "O", "O", "O"], "fractional_positions": [[0.996, 0.003, 0.115], [0.002, 0.498, 0.388], [0.513, 0.239, 0.391], [0.494, 0.234, 0.113], [0.990, 0.018, 0.627], [0.972, 0.539, 0.126], [0.995, 0.522, 0.625], [0.006, 0.490, 0.857], [0.996, 0.964, 0.388], [0.016, 0.972, 0.872], [0.503, 0.223, 0.869], [0.503, 0.744, 0.392], [0.501, 0.742, 0.862], [0.513, 0.271, 0.629], [0.506, 0.780, 0.118], [0.510, 0.770, 0.625], [0.508, 0.992, 0.990], [0.495, 0.001, 0.504], [0.468, 0.511, 0.982], [0.499, 0.499, 0.508], [0.020, 0.244, 0.992], [0.007, 0.248, 0.509], [0.992, 0.745, 0.997], [0.004, 0.750, 0.506], [0.931, 0.264, 0.241], [0.008, 0.250, 0.752], [0.011, 0.752, 0.250], [0.002, 0.751, 0.748], [0.519, 0.987, 0.256], [0.501, 0.001, 0.748], [0.516, 0.526, 0.258], [0.508, 0.501, 0.747], [0.210, 0.107, 0.775], [0.197, 0.586, 0.251], [0.225, 0.611, 0.767], [0.720, 0.405, 0.213], [0.798, 0.398, 0.728], [0.824, 0.895, 0.241], [0.786, 0.893, 0.728], [0.671, 0.146, 0.244], [0.707, 0.147, 0.733], [0.708, 0.654, 0.218], [0.716, 0.645, 0.726], [0.298, 0.358, 0.774], [0.296, 0.851, 0.277], [0.282, 0.860, 0.769], [0.280, 0.360, 0.494], [0.319, 0.355, 0.989], [0.280, 0.859, 0.483], [0.288, 0.849, 0.977], [0.737, 0.140, 0.007], [0.710, 0.144, 0.522], [0.687, 0.625, 0.030], [0.720, 0.641, 0.520], [0.782, 0.390, 0.519], [0.776, 0.881, 0.013], [0.785, 0.892, 0.518], [0.207, 0.105, 0.482], [0.241, 0.101, 0.979], [0.231, 0.615, 0.491], [0.162, 0.591, 0.990], [0.565, 0.005, 0.380], [0.585, 0.001, 0.869], [0.533, 0.498, 0.379], [0.588, 0.517, 0.869], [0.424, 0.489, 0.629], [0.450, 0.996, 0.131], [0.422, 0.990, 0.625], [0.043, 0.256, 0.125], [0.080, 0.236, 0.633], [0.078, 0.750, 0.124], [0.078, 0.743, 0.627], [0.003, 0.268, 0.356], [0.924, 0.279, 0.879], [0.935, 0.743, 0.376], [0.927, 0.751, 0.872]], "crystal_system": "triclinic", "relative_energy_kcal_per_mol_atoms": 0.00, "magnetic_moment_mub_per_atom": 0.737}

=====

Record 8
{"formula": "CoAs2O6", "functional": "GGA+U", "state": "relaxed", "lattice_angstrom": [[-4.091, -2.389, -1.090], [2.071, -0.589, 4.358], [-4.922, 6.933, 3.276]], "species": ["Co", "Co", "As", "As", "As", "As", "O", "O", "O", "O", "O", "O", "O", "O", "O", "O", "O", "O"], "fractional_positions": [[0.000, 0.000, 0.500], [0.000, 0.000, 0.000], [0.333, 0.667, 0.250], [0.333, 0.667, 0.750], [0.667, 0.333, 0.250], [0.667, 0.333, 0.750], [0.363, 0.000, 0.137], [0.363, 0.000, 0.637], [0.363, 0.363, 0.363], [0.363, 0.363, 0.863], [0.000, 0.637, 0.363], [0.000, 0.637, 0.863], [0.637, 0.637, 0.137], [0.637, 0.637, 0.637], [0.637, 0.000, 0.363], [0.637, 0.000, 0.863], [0.000, 0.363, 0.137], [0.000, 0.363, 0.637]]}

=====

Record 9
{"formula": "VN3O8", "functional": "GGA+U", "state": "relaxed", "lattice_angstrom": [[5.573, -2.277, 1.466], [0.549, 5.489, 2.822], [-4.840, -3.440, 1.769]], "species": ["V", "N", "N", "N", "O", "O", "O", "O", "O", "O", "O", "O"], "fractional_positions": [[0.000, 0.000, 0.000], [0.750, 0.250, 0.500], [0.250, 0.750, 0.500], [0.500, 0.500, 0.000], [0.316, 0.316, 0.327], [0.989, 0.989, 0.673], [0.684, 0.011, 0.000], [0.011, 0.684, 0.000], [0.201, 0.201, 0.415], [0.786, 0.786, 0.585], [0.799, 0.214, 0.000], [0.214, 0.799, 0.000]], "crystal_system": "tetragonal", "magnetic_moment_mub_per_atom": 0.500}

=====

These records have DFT formation energy values of -2.51, -1.11, -2.56, -2.52, -1.75, -2.27, -2.50, -1.63, 0.91 eV/atom, in the order they appear.
These records have MP2020-corrected energy values of -588.27, -86.83, -283.92, -352.51, -291.25, -393.07, -585.47, -121.49, -62.79 eV per cell, in the order they appear.